The following is a PBE+U calculation of a relaxed Rb4MgMo2S4O4 crystal, from the Materials Project.

## Properties
MP2020-corrected energy   -5.80 eV per atom
Final energy   -5.05 eV/atom
ΔH_f (0 K)   -1.56 eV per atom

Lattice parameters (Å, degrees): 7.634 7.634 7.911 105.73 105.73 79.60
Sites, in units of the cell vectors:
Rb (0.152, 0.244, 0.594)
Rb (0.186, 0.186, 0.090)
Rb (0.756, 0.848, 0.406)
Rb (0.814, 0.814, 0.910)
Mg (0.614, 0.386, 0.500)
Mo (0.324, 0.676, 0.500)
Mo (0.612, 0.388, 0.000)
S (0.164, 0.784, 0.717)
S (0.216, 0.836, 0.283)
S (0.759, 0.239, 0.241)
S (0.761, 0.241, 0.759)
O (0.337, 0.418, 0.432)
O (0.381, 0.336, 0.929)
O (0.582, 0.663, 0.568)
O (0.664, 0.619, 0.071)

The following is a PBE+U calculation of a relaxed Mg2SbMoO6 crystal, from the Materials Project.

## Properties
MP2020-corrected energy   -7.11 eV per atom
Final energy   -6.38 eV/atom
ΔH_f (0 K)   -2.33 eV per atom

Lattice parameters (Å, degrees): 5.343 7.816 5.465 90.00 90.59 90.00
Sites, in units of the cell vectors:
Mg (0.007, 0.250, 0.445)
Mg (0.487, 0.750, 0.031)
Mg (0.513, 0.250, 0.969)
Mg (0.993, 0.750, 0.555)
Sb (0.500, 0.000, 0.500)
Sb (0.500, 0.500, 0.500)
Mo (0.000, 0.000, 0.000)
Mo (0.000, 0.500, 0.000)
O (0.133, 0.750, 0.906)
O (0.186, 0.071, 0.664)
O (0.186, 0.429, 0.664)
O (0.343, 0.071, 0.186)
O (0.343, 0.429, 0.186)
O (0.362, 0.750, 0.417)
O (0.638, 0.250, 0.583)
O (0.657, 0.571, 0.814)
O (0.657, 0.929, 0.814)
O (0.814, 0.571, 0.336)
O (0.814, 0.929, 0.336)
O (0.867, 0.250, 0.094)

The following is a PBE+U calculation of a relaxed Mg3Si4Mo2O14 crystal, from the Materials Project.

## Properties
MP2020-corrected energy   -7.91 eV per atom
Final energy   -7.21 eV/atom
ΔH_f (0 K)   -2.80 eV per atom

Lattice parameters (Å, degrees): 9.492 9.492 9.990 120.78 120.78 48.05
Sites, in units of the cell vectors:
Mg (0.123, 0.877, 0.750)
Mg (0.217, 0.426, 0.596)
Mg (0.426, 0.217, 0.096)
Mg (0.574, 0.783, 0.904)
Mg (0.783, 0.574, 0.404)
Mg (0.877, 0.123, 0.250)
Si (0.011, 0.745, 0.895)
Si (0.029, 0.593, 0.284)
Si (0.255, 0.989, 0.605)
Si (0.407, 0.971, 0.216)
Si (0.593, 0.029, 0.784)
Si (0.745, 0.011, 0.395)
Si (0.971, 0.407, 0.716)
Si (0.989, 0.255, 0.105)
Mo (0.299, 0.701, 0.250)
Mo (0.500, 0.500, 0.000)
Mo (0.500, 0.500, 0.500)
Mo (0.701, 0.299, 0.750)
O (0.004, 0.586, 0.430)
O (0.006, 0.568, 0.882)
O (0.020, 0.878, 0.082)
O (0.122, 0.980, 0.418)
O (0.141, 0.185, 0.743)
O (0.185, 0.141, 0.243)
O (0.193, 0.658, 0.829)
O (0.238, 0.545, 0.303)
O (0.342, 0.807, 0.671)
O (0.412, 0.424, 0.088)
O (0.414, 0.996, 0.070)
O (0.424, 0.412, 0.588)
O (0.432, 0.994, 0.618)
O (0.455, 0.762, 0.197)
O (0.545, 0.238, 0.803)
O (0.568, 0.006, 0.382)
O (0.576, 0.588, 0.412)
O (0.586, 0.004, 0.930)
O (0.588, 0.576, 0.912)
O (0.658, 0.193, 0.329)
O (0.762, 0.455, 0.697)
O (0.807, 0.342, 0.171)
O (0.815, 0.859, 0.757)
O (0.859, 0.815, 0.257)
O (0.878, 0.020, 0.582)
O (0.980, 0.122, 0.918)
O (0.994, 0.432, 0.118)
O (0.996, 0.414, 0.570)

The following is a PBE+U calculation of a relaxed Sm4MgMo4O14 crystal, from the Materials Project.

## Properties
MP2020-corrected energy   -8.59 eV per atom
Final energy   -7.61 eV/atom
ΔH_f (0 K)   -2.80 eV per atom

Lattice parameters (Å, degrees): 7.585 7.585 7.544 119.49 119.49 60.48
Sites, in units of the cell vectors:
Sm (0.000, 0.000, 0.000)
Sm (0.003, 0.003, 0.491)
Sm (0.523, 0.997, 0.541)
Sm (0.997, 0.523, 0.541)
Mg (0.277, 0.277, 0.283)
Mo (0.004, 0.518, 0.003)
Mo (0.513, 0.513, 0.001)
Mo (0.518, 0.004, 0.003)
Mo (0.523, 0.523, 0.517)
O (0.149, 0.149, 0.369)
O (0.162, 0.611, 0.921)
O (0.176, 0.595, 0.335)
O (0.190, 0.190, 0.959)
O (0.405, 0.865, 0.670)
O (0.407, 0.407, 0.642)
O (0.419, 0.852, 0.076)
O (0.595, 0.176, 0.335)
O (0.611, 0.162, 0.921)
O (0.618, 0.618, 0.361)
O (0.852, 0.419, 0.076)
O (0.854, 0.854, 0.105)
O (0.865, 0.405, 0.670)
O (0.892, 0.892, 0.633)

The following is a PBE+U calculation of a relaxed Sm4MgMo4O14 crystal, from the Materials Project.

## Properties
MP2020-corrected energy   -8.53 eV per atom
Final energy   -7.56 eV/atom
ΔH_f (0 K)   -2.75 eV per atom

Lattice parameters (Å, degrees): 7.603 7.603 7.550 119.76 119.76 90.22
Sites, in units of the cell vectors:
Sm (0.000, 0.000, 0.245)
Sm (0.000, 0.000, 0.755)
Sm (0.005, 0.500, 0.752)
Sm (0.500, 0.995, 0.248)
Mg (0.387, 0.613, 0.500)
Mo (0.509, 0.018, 0.764)
Mo (0.513, 0.486, 0.772)
Mo (0.514, 0.487, 0.228)
Mo (0.982, 0.491, 0.236)
O (0.127, 0.873, 0.000)
O (0.172, 0.410, 0.487)
O (0.173, 0.409, 0.095)
O (0.187, 0.813, 0.500)
O (0.401, 0.599, 0.000)
O (0.406, 0.150, 0.573)
O (0.407, 0.150, 0.984)
O (0.590, 0.828, 0.513)
O (0.591, 0.827, 0.905)
O (0.592, 0.408, 0.500)
O (0.842, 0.158, 0.000)
O (0.850, 0.593, 0.016)
O (0.850, 0.594, 0.427)
O (0.879, 0.121, 0.500)

The following is a PBE+U calculation of a relaxed Sr2MgMoO4 crystal, from the Materials Project.

## Properties
MP2020-corrected energy   -6.49 eV per atom
Final energy   -5.74 eV/atom
ΔH_f (0 K)   -2.04 eV per atom

Lattice parameters (Å, degrees): 9.981 9.981 9.981 156.26 156.26 33.83
Sites, in units of the cell vectors:
Sr (0.188, 0.188, 0.000)
Sr (0.812, 0.812, 0.000)
Mg (0.000, 0.000, 0.000)
Mo (0.500, 0.500, 0.000)
O (0.000, 0.500, 0.500)
O (0.308, 0.308, 0.000)
O (0.500, 0.000, 0.500)
O (0.692, 0.692, 0.000)

> Which value of ΔH_f (0 K) does entry 6 give?

-2.04 eV per atom

What did the third record say?
The following is a PBE+U calculation of a relaxed Mg3Si4Mo2O14 crystal, from the Materials Project.

## Properties
MP2020-corrected energy   -7.91 eV per atom
Final energy   -7.21 eV/atom
ΔH_f (0 K)   -2.80 eV per atom

Lattice parameters (Å, degrees): 9.492 9.492 9.990 120.78 120.78 48.05
Sites, in units of the cell vectors:
Mg (0.123, 0.877, 0.750)
Mg (0.217, 0.426, 0.596)
Mg (0.426, 0.217, 0.096)
Mg (0.574, 0.783, 0.904)
Mg (0.783, 0.574, 0.404)
Mg (0.877, 0.123, 0.250)
Si (0.011, 0.745, 0.895)
Si (0.029, 0.593, 0.284)
Si (0.255, 0.989, 0.605)
Si (0.407, 0.971, 0.216)
Si (0.593, 0.029, 0.784)
Si (0.745, 0.011, 0.395)
Si (0.971, 0.407, 0.716)
Si (0.989, 0.255, 0.105)
Mo (0.299, 0.701, 0.250)
Mo (0.500, 0.500, 0.000)
Mo (0.500, 0.500, 0.500)
Mo (0.701, 0.299, 0.750)
O (0.004, 0.586, 0.430)
O (0.006, 0.568, 0.882)
O (0.020, 0.878, 0.082)
O (0.122, 0.980, 0.418)
O (0.141, 0.185, 0.743)
O (0.185, 0.141, 0.243)
O (0.193, 0.658, 0.829)
O (0.238, 0.545, 0.303)
O (0.342, 0.807, 0.671)
O (0.412, 0.424, 0.088)
O (0.414, 0.996, 0.070)
O (0.424, 0.412, 0.588)
O (0.432, 0.994, 0.618)
O (0.455, 0.762, 0.197)
O (0.545, 0.238, 0.803)
O (0.568, 0.006, 0.382)
O (0.576, 0.588, 0.412)
O (0.586, 0.004, 0.930)
O (0.588, 0.576, 0.912)
O (0.658, 0.193, 0.329)
O (0.762, 0.455, 0.697)
O (0.807, 0.342, 0.171)
O (0.815, 0.859, 0.757)
O (0.859, 0.815, 0.257)
O (0.878, 0.020, 0.582)
O (0.980, 0.122, 0.918)
O (0.994, 0.432, 0.118)
O (0.996, 0.414, 0.570)

> ΔH_f (0 K) of number 6 (Sr2MgMoO4)?

-2.04 eV per atom